[1]
Computed, not measured: a geometry-optimized ThCrS3 structure at the GGA-PBE level of DFT.

Cell: 6.2103 7.4224 8.9125 Å, 90.00 90.00 90.00°
Last column: nearest neighbours and their distance in Å.
Sites, in units of the cell vectors:
1 Th 0.4484 0.8830 0.2500  8 S 2.80-3.08
2 Th 0.0516 0.3830 0.2500  8 S 2.80-3.08
3 Th 0.5516 0.1170 0.7500  8 S 2.80-3.08
4 Th 0.9484 0.6170 0.7500  8 S 2.80-3.08
5 Cr 0.5000 0.5000 0.0000  4 S 2.40-2.45
6 Cr 0.0000 0.0000 0.5000  4 S 2.40-2.45
7 Cr 0.5000 0.5000 0.5000  4 S 2.40-2.45
8 Cr 0.0000 0.0000 0.0000  4 S 2.40-2.45
9 S 0.6343 0.5390 0.2500  2 Cr 2.40
10 S 0.8657 0.0390 0.2500  2 Cr 2.40
11 S 0.3657 0.4610 0.7500  2 Cr 2.40
12 S 0.1343 0.9610 0.7500  2 Cr 2.40
13 S 0.6726 0.8283 0.5553  2 Cr 2.45-2.71
14 S 0.8274 0.3283 0.9447  2 Cr 2.45-2.71
15 S 0.3274 0.1717 0.0553  2 Cr 2.45-2.71
16 S 0.1726 0.6717 0.4447  2 Cr 2.45-2.71
17 S 0.3274 0.1717 0.4447  2 Cr 2.45-2.71
18 S 0.1726 0.6717 0.0553  2 Cr 2.45-2.71
19 S 0.6726 0.8283 0.9447  2 Cr 2.45-2.71
20 S 0.8274 0.3283 0.5553  2 Cr 2.45-2.71

Results
Space-group type   No. 62



[2]
Computed, not measured: a geometry-optimized TlCr3S5 structure at the GGA-PBE level of DFT.

Cell: 9.9134 9.9134 12.0902 Å, 58.38 58.38 20.40°
Last column: nearest neighbours and their distance in Å.
Sites, in units of the cell vectors:
1 Tl 0.2613 0.2613 0.8257  5 S 3.19-3.48, 2 Tl 3.51
2 Tl 0.7387 0.7387 0.1743  5 S 3.19-3.48, 2 Tl 3.51
3 Cr 0.5000 0.5000 0.0000  6 S 2.39-2.43
4 Cr 0.5000 0.5000 0.5000  6 S 2.42-2.44
5 Cr 0.1644 0.1644 0.6119  6 S 2.37-2.48
6 Cr 0.8356 0.8356 0.3881  6 S 2.37-2.48
7 Cr 0.9835 0.9835 0.7726  6 S 2.35-2.55
8 Cr 0.0165 0.0165 0.2274  6 S 2.35-2.55
9 S 0.0759 0.0759 0.8488  4 Cr 2.39-2.43
10 S 0.9241 0.9241 0.1512  4 Cr 2.39-2.43
11 S 0.4103 0.4103 0.9173  3 Cr 2.35-2.43
12 S 0.5897 0.5897 0.0827  3 Cr 2.35-2.43
13 S 0.5759 0.5759 0.6075  5 Cr 2.44-2.55
14 S 0.4241 0.4241 0.3925  5 Cr 2.44-2.55
15 S 0.7443 0.7443 0.6178  3 Cr 2.37
16 S 0.2557 0.2557 0.3822  3 Cr 2.37
17 S 0.9200 0.9200 0.6519  3 Cr 2.36-2.42
18 S 0.0800 0.0800 0.3481  3 Cr 2.36-2.42

Results
Space-group type   No. 12



[3]
Computed, not measured: a geometry-optimized TlVCr4S8 structure at the GGA-PBE level of DFT.

Cell: 9.1439 9.1439 8.6290 Å, 75.95 75.95 21.91°
Last column: nearest neighbours and their distance in Å.
Sites, in units of the cell vectors:
1 Tl 0.0007 0.0007 0.9979  10 S 3.33-3.59, 2 Tl 3.48
2 V 0.8441 0.8441 0.4745  6 S 2.36-2.55
3 Cr 0.2036 0.2036 0.1651  6 S 2.35-2.52
4 Cr 0.7939 0.7939 0.8340  6 S 2.36-2.47
5 Cr 0.1586 0.1586 0.5251  6 S 2.34-2.51
6 Cr 0.4987 0.4987 0.5002  6 S 2.37-2.40
7 S 0.4150 0.4150 0.3218  2 V 2.36, 1 Cr 2.40
8 S 0.5856 0.5856 0.6677  3 Cr 2.34-2.37
9 S 0.7376 0.7376 0.3472  1 V 2.43, 4 Cr 2.51-2.52
10 S 0.2623 0.2623 0.6572  3 Cr 2.41-2.47, 2 V 2.55
11 S 0.0747 0.0747 0.3483  4 Cr 2.39-2.46
12 S 0.9263 0.9263 0.6611  3 Cr 2.40-2.47, 1 V 2.44
13 S 0.3281 0.3281 0.9883  3 Cr 2.36-2.37
14 S 0.6707 0.6707 0.0115  3 Cr 2.35-2.36

Results
Space-group type   No. 8
Size of the total moment   2.00 μB/f.u.



[4]
Computed, not measured: a geometry-optimized TlV2Cr3S8 structure at the GGA-PBE level of DFT.

Cell: 8.9763 8.9763 8.7254 Å, 76.80 76.80 22.37°
Last column: nearest neighbours and their distance in Å.
Sites, in units of the cell vectors:
1 Tl 0.0022 0.0022 0.9962  10 S 3.36-3.57, 2 Tl 3.48
2 V 0.8507 0.8507 0.4802  6 S 2.33-2.58
3 V 0.4921 0.4921 0.4972  6 S 2.33-2.45
4 Cr 0.7936 0.7936 0.8362  6 S 2.36-2.49
5 Cr 0.2033 0.2033 0.1670  6 S 2.35-2.52
6 Cr 0.1586 0.1586 0.5218  6 S 2.34-2.52
7 S 0.5865 0.5865 0.6642  2 Cr 2.34, 1 V 2.45
8 S 0.4127 0.4127 0.3175  3 V 2.33-2.35
9 S 0.2634 0.2634 0.6555  3 Cr 2.40-2.49, 2 V 2.58
10 S 0.7390 0.7390 0.3474  1 V 2.50, 4 Cr 2.52
11 S 0.6699 0.6699 0.0134  3 Cr 2.35-2.36
12 S 0.3279 0.3279 0.9891  3 Cr 2.36-2.38
13 S 0.9264 0.9264 0.6666  3 V 2.33-2.40, 1 Cr 2.46
14 S 0.0736 0.0736 0.3476  2 Cr 2.37-2.45, 2 V 2.43

Results
Space-group type   No. 8
Size of the total moment   12.95 μB/f.u.



[5]
Computed, not measured: a geometry-optimized Tl2V9CrS16 structure at the GGA-PBE level of DFT.

Cell: 3.2602 8.5503 17.4567 Å, 104.62 90.00 90.00°
Last column: nearest neighbours and their distance in Å.
Sites, in units of the cell vectors:
1 Tl 0.5000 0.0000 0.0000  10 S 3.20-3.32, 2 Tl 3.26
2 Tl 0.0000 0.0000 0.5000  10 S 3.21-3.33, 2 Tl 3.26
3 V 0.5000 0.8598 0.2113  6 S 2.27-2.51
4 V 0.0000 0.8603 0.7114  5 S 2.26-2.51
5 V 0.0000 0.1397 0.2886  5 S 2.26-2.51
6 V 0.5000 0.1402 0.7887  6 S 2.27-2.51
7 V 0.5000 0.4951 0.1479  5 S 2.26-2.48
8 V 0.0000 0.4960 0.6465  5 S 2.24-2.48
9 V 0.0000 0.5040 0.3535  5 S 2.24-2.48
10 V 0.5000 0.5049 0.8521  5 S 2.26-2.48
11 V 0.0000 0.5000 0.0000  6 S 2.38-2.40
12 Cr 0.5000 0.5000 0.5000  6 S 2.35-2.37
13 S 0.5000 0.6797 0.4162  2 V 2.30, 1 Cr 2.37
14 S 0.0000 0.6816 0.9149  3 V 2.30-2.40
15 S 0.0000 0.3184 0.0851  3 V 2.30-2.40
16 S 0.5000 0.3203 0.5838  2 V 2.30, 1 Cr 2.37
17 S 0.5000 0.3401 0.2599  5 V 2.48-2.62
18 S 0.0000 0.3398 0.7590  5 V 2.48-2.64
19 S 0.0000 0.6602 0.2410  5 V 2.48-2.64
20 S 0.5000 0.6599 0.7401  5 V 2.48-2.62
21 S 0.5000 0.0010 0.3405  3 V 2.27-2.33
22 S 0.0000 0.9998 0.8400  3 V 2.26-2.33
23 S 0.0000 0.0002 0.1600  3 V 2.26-2.33
24 S 0.5000 0.9990 0.6595  3 V 2.27-2.33
25 S 0.5000 0.6786 0.0744  4 V 2.26-2.50
26 S 0.0000 0.6754 0.5722  1 V 2.24, 2 Cr 2.35
27 S 0.0000 0.3246 0.4278  1 V 2.24, 2 Cr 2.35
28 S 0.5000 0.3214 0.9256  4 V 2.26-2.50

Results
Space-group type   No. 10
Size of the total moment   0.98 μB/f.u.



[6]
Computed, not measured: a geometry-optimized Tm2CrS4 structure at the GGA-PBE level of DFT.

Cell: 7.4109 12.5078 12.3840 Å, 90.00 90.00 90.00°
Last column: nearest neighbours and their distance in Å.
Sites, in units of the cell vectors:
1 Tm 0.8837 0.5647 0.1270  6 S 2.61-2.73
2 Tm 0.1163 0.0647 0.8730  6 S 2.61-2.73
3 Tm 0.8837 0.0647 0.3730  6 S 2.61-2.73
4 Tm 0.1163 0.5647 0.6270  6 S 2.61-2.73
5 Tm 0.8711 0.7340 0.8659  6 S 2.68-2.81
6 Tm 0.1289 0.2340 0.1341  6 S 2.68-2.81
7 Tm 0.8711 0.2340 0.6341  6 S 2.68-2.81
8 Tm 0.1289 0.7340 0.3659  6 S 2.68-2.81
9 Tm 0.3829 0.9251 0.1097  6 S 2.64-2.70
10 Tm 0.6171 0.4251 0.8903  6 S 2.64-2.70
11 Tm 0.3829 0.4251 0.3903  6 S 2.64-2.70
12 Tm 0.6171 0.9251 0.6097  6 S 2.64-2.70
13 Tm 0.3700 0.7296 0.8664  7 S 2.68-2.95
14 Tm 0.6300 0.2296 0.1336  7 S 2.68-2.95
15 Tm 0.3700 0.2296 0.6336  7 S 2.68-2.95
16 Tm 0.6300 0.7296 0.3664  7 S 2.68-2.95
17 Cr 0.8742 0.9308 0.1083  4 S 2.42-2.58
18 Cr 0.1258 0.4308 0.8917  4 S 2.42-2.58
19 Cr 0.8742 0.4308 0.3917  4 S 2.42-2.58
20 Cr 0.1258 0.9308 0.6083  4 S 2.42-2.58
21 Cr 0.3817 0.5618 0.1243  6 S 2.43-2.72
22 Cr 0.6183 0.0618 0.8757  6 S 2.43-2.72
23 Cr 0.3817 0.0618 0.3757  6 S 2.43-2.72
24 Cr 0.6183 0.5618 0.6243  6 S 2.43-2.72
25 S 0.6226 0.8788 0.9534  2 Cr 2.48-2.75, 1 Tm 2.69
26 S 0.3774 0.3788 0.0466  2 Cr 2.48-2.75, 1 Tm 2.69
27 S 0.6226 0.3788 0.5466  2 Cr 2.48-2.75, 1 Tm 2.69
28 S 0.3774 0.8788 0.4534  2 Cr 2.48-2.75, 1 Tm 2.69
29 S 0.6202 0.6173 0.9885  1 Cr 2.54, 4 Tm 2.68-2.81
30 S 0.3798 0.1173 0.0115  1 Cr 2.54, 4 Tm 2.68-2.81
31 S 0.6202 0.1173 0.5115  1 Cr 2.54, 4 Tm 2.68-2.81
32 S 0.3798 0.6173 0.4885  1 Cr 2.54, 4 Tm 2.68-2.81
33 S 0.8785 0.7612 0.2112  1 Cr 2.47, 3 Tm 2.67-2.69
34 S 0.1215 0.2612 0.7888  1 Cr 2.47, 3 Tm 2.67-2.69
35 S 0.8785 0.2612 0.2888  1 Cr 2.47, 3 Tm 2.67-2.69
36 S 0.1215 0.7612 0.7112  1 Cr 2.47, 3 Tm 2.67-2.69
37 S 0.8584 0.5126 0.7603  2 Cr 2.53-2.76, 2 Tm 2.61-2.64
38 S 0.1416 0.0126 0.2397  2 Cr 2.53-2.76, 2 Tm 2.61-2.64
39 S 0.8584 0.0126 0.7397  2 Cr 2.53-2.76, 2 Tm 2.61-2.64
40 S 0.1416 0.5126 0.2603  2 Cr 2.53-2.76, 2 Tm 2.61-2.64
41 S 0.1163 0.8697 0.9718  1 Cr 2.58, 4 Tm 2.70-2.88
42 S 0.8837 0.3697 0.0282  1 Cr 2.58, 4 Tm 2.70-2.88
43 S 0.1163 0.3697 0.5282  1 Cr 2.58, 4 Tm 2.70-2.88
44 S 0.8837 0.8697 0.4718  1 Cr 2.58, 4 Tm 2.70-2.88
45 S 0.1246 0.6067 0.9737  1 Cr 2.42, 1 Tm 2.66
46 S 0.8754 0.1067 0.0263  1 Cr 2.42, 1 Tm 2.66
47 S 0.1246 0.1067 0.5263  1 Cr 2.42, 1 Tm 2.66
48 S 0.8754 0.6067 0.4737  1 Cr 2.42, 1 Tm 2.66
49 S 0.3803 0.7370 0.2100  1 Cr 2.43, 3 Tm 2.66-2.68
50 S 0.6197 0.2370 0.7900  1 Cr 2.43, 3 Tm 2.66-2.68
51 S 0.3803 0.2370 0.2900  1 Cr 2.43, 3 Tm 2.66-2.68
52 S 0.6197 0.7370 0.7100  1 Cr 2.43, 3 Tm 2.66-2.68
53 S 0.3641 0.5136 0.7704  2 Cr 2.54-2.68, 2 Tm 2.63-2.64
54 S 0.6359 0.0136 0.2296  2 Cr 2.54-2.68, 2 Tm 2.63-2.64
55 S 0.3641 0.0136 0.7296  2 Cr 2.54-2.68, 2 Tm 2.63-2.64
56 S 0.6359 0.5136 0.2704  2 Cr 2.54-2.68, 2 Tm 2.63-2.64

Results
Space-group type   No. 29
Size of the total moment   3.97 μB/f.u.



[7]
Computed, not measured: a geometry-optimized Tm4CrS7 structure at the GGA-PBE level of DFT.

Cell: 3.7570 6.4481 11.2636 Å, 104.82 90.00 73.06°
Last column: nearest neighbours and their distance in Å.
Sites, in units of the cell vectors:
1 Tm 0.6941 0.6118 0.2061  6 S 2.71-2.83
2 Tm 0.3066 0.3868 0.8029  7 S 2.67-2.93
3 Tm 0.9985 0.0030 0.0069  6 S 2.65-2.69
4 Tm 0.1131 0.7738 0.5639  6 S 2.64-2.76
5 Cr 0.8849 0.2301 0.4242  6 S 2.44-2.60
6 S 0.7474 0.5052 0.6338  1 Cr 2.51, 2 Tm 2.76
7 S 0.2710 0.4581 0.3526  2 Cr 2.60, 3 Tm 2.64-2.83
8 S 0.3367 0.3266 0.0520  5 Tm 2.69-2.93
9 S 0.6593 0.6815 0.9481  4 Tm 2.68-2.81
10 S 0.0315 0.9370 0.2298  1 Cr 2.44, 3 Tm 2.65-2.71
11 S 0.9640 0.0720 0.7848  4 Tm 2.65-2.67
12 S 0.4929 0.0141 0.4950  2 Cr 2.55, 2 Tm 2.64

Results
Space-group type   No. 8
Size of the total moment   3.85 μB/f.u.



[8]
Computed, not measured: a geometry-optimized VCr2S4 structure at the GGA-PBE level of DFT.

Cell: 3.3753 5.8800 6.4190 Å, 114.78 74.76 90.00°
Last column: nearest neighbours and their distance in Å.
Sites, in units of the cell vectors:
1 V 0.2586 0.6913 0.4828  6 S 2.34-2.56
2 Cr 0.7384 0.3130 0.5232  6 S 2.30-2.52
3 Cr 0.0056 0.9969 0.9889  6 S 2.39-2.47
4 S 0.3623 0.9855 0.2754  4 Cr 2.47-2.52, 1 V 2.56
5 S 0.6370 0.0229 0.7261  3 Cr 2.40-2.52, 2 V 2.52
6 S 0.1100 0.5461 0.7800  3 Cr 2.32-2.39, 1 V 2.34
7 S 0.8882 0.4444 0.2236  2 Cr 2.30-2.39, 2 V 2.35

Results
Space-group type   No. 8
Energy above the lowest structure with this stoichiometry   0.00 eV per formula unit



[9]
Computed, not measured: a geometry-optimized VCr2S4 structure at the GGA-PBE level of DFT.

Cell: 6.4796 6.4796 6.1121 Å, 62.28 62.28 30.63°
Last column: nearest neighbours and their distance in Å.
Sites, in units of the cell vectors:
1 V 0.0000 0.0000 0.0000  6 S 2.41-2.45
2 Cr 0.7415 0.7415 0.2757  6 S 2.36-2.47
3 Cr 0.2585 0.2585 0.7243  6 S 2.36-2.47
4 S 0.8759 0.8759 0.4472  3 Cr 2.36-2.37, 1 V 2.41
5 S 0.1241 0.1241 0.5528  3 Cr 2.36-2.37, 1 V 2.41
6 S 0.6327 0.6327 0.0281  2 V 2.45, 3 Cr 2.46-2.47
7 S 0.3673 0.3673 0.9719  2 V 2.45, 3 Cr 2.46-2.47

Results
Space-group type   No. 12
Energy above the lowest structure with this stoichiometry   0.06 eV per formula unit



[10]
Computed, not measured: a geometry-optimized V4Cr5S10 structure at the GGA-PBE level of DFT.

Cell: 5.8725 6.6753 8.1945 Å, 106.22 110.94 89.93°
Last column: nearest neighbours and their distance in Å.
Sites, in units of the cell vectors:
1 V 0.2141 0.4038 0.4047  6 S 2.41-2.45
2 V 0.3960 0.7783 0.7819  6 S 2.41-2.51
3 V 0.6040 0.2217 0.2181  6 S 2.41-2.51
4 V 0.7859 0.5962 0.5953  6 S 2.41-2.45
5 Cr 0.0985 0.7144 0.1892  6 S 2.36-2.45
6 Cr 0.2852 0.0984 0.6008  6 S 2.38-2.46
7 Cr 0.5000 0.5000 0.0000  6 S 2.41-2.46
8 Cr 0.7148 0.9016 0.3992  6 S 2.38-2.46
9 Cr 0.9015 0.2856 0.8108  6 S 2.36-2.45
10 S 0.6094 0.1445 0.9024  3 Cr 2.39-2.46, 2 V 2.51
11 S 0.4116 0.7548 0.4864  3 Cr 2.41-2.45, 3 V 2.42
12 S 0.0120 0.9433 0.7016  3 Cr 2.39-2.41, 2 V 2.44-2.46
13 S 0.8289 0.5591 0.3014  3 Cr 2.38-2.46, 3 V 2.41-2.45
14 S 0.2163 0.3618 0.1035  3 Cr 2.36-2.44, 2 V 2.41-2.43
15 S 0.7837 0.6382 0.8965  3 Cr 2.36-2.44, 2 V 2.41-2.43
16 S 0.5884 0.2452 0.5136  3 Cr 2.41-2.45, 3 V 2.42
17 S 0.1711 0.4409 0.6986  3 Cr 2.38-2.46, 3 V 2.41-2.45
18 S 0.9880 0.0567 0.2984  3 Cr 2.39-2.41, 2 V 2.44-2.46
19 S 0.3906 0.8555 0.0976  3 Cr 2.39-2.46, 2 V 2.51

Results
Space-group type   No. 2
Size of the total moment   14.55 μB/f.u.



[11]
Computed, not measured: a geometry-optimized VCr14S20 structure at the GGA-PBE level of DFT.

Cell: 6.5506 6.5506 27.0539 Å, 87.29 87.29 30.67°
Last column: nearest neighbours and their distance in Å.
Sites, in units of the cell vectors:
1 V 0.0000 0.0000 0.0000  6 S 2.43-2.47
2 Cr 0.5906 0.5906 0.8562  6 S 2.37-2.51
3 Cr 0.3919 0.3919 0.6561  6 S 2.37-2.51
4 Cr 0.1921 0.1921 0.4561  6 S 2.36-2.51
5 Cr 0.9921 0.9921 0.2563  6 S 2.36-2.51
6 Cr 0.7984 0.7984 0.0545  6 S 2.37-2.48
7 Cr 0.2016 0.2016 0.9455  6 S 2.37-2.48
8 Cr 0.0079 0.0079 0.7437  6 S 2.36-2.51
9 Cr 0.8079 0.8079 0.5439  6 S 2.36-2.51
10 Cr 0.6081 0.6081 0.3439  6 S 2.37-2.51
11 Cr 0.4094 0.4094 0.1438  6 S 2.37-2.51
12 Cr 0.7996 0.7996 0.8007  6 S 2.45-2.47
13 Cr 0.5999 0.5999 0.5999  6 S 2.43-2.46
14 Cr 0.4001 0.4001 0.4001  6 S 2.43-2.46
15 Cr 0.2004 0.2004 0.1993  6 S 2.45-2.47
16 S 0.0332 0.0332 0.9109  3 Cr 2.37, 1 V 2.43
17 S 0.8350 0.8350 0.7107  4 Cr 2.37-2.45
18 S 0.6351 0.6351 0.5106  4 Cr 2.36-2.44
19 S 0.4350 0.4350 0.3107  4 Cr 2.36-2.43
20 S 0.2379 0.2379 0.1094  4 Cr 2.38-2.45
21 S 0.7621 0.7621 0.8906  4 Cr 2.38-2.45
22 S 0.5650 0.5650 0.6893  4 Cr 2.36-2.43
23 S 0.3649 0.3649 0.4894  4 Cr 2.36-2.44
24 S 0.1650 0.1650 0.2893  4 Cr 2.37-2.45
25 S 0.9668 0.9668 0.0891  3 Cr 2.37, 1 V 2.43
26 S 0.4375 0.4375 0.8041  5 Cr 2.45-2.51
27 S 0.2378 0.2378 0.6042  5 Cr 2.45-2.51
28 S 0.0380 0.0380 0.4043  5 Cr 2.45-2.51
29 S 0.8387 0.8387 0.2039  5 Cr 2.46-2.51
30 S 0.6379 0.6379 0.0057  2 V 2.47, 3 Cr 2.47-2.48
31 S 0.3621 0.3621 0.9943  2 V 2.47, 3 Cr 2.47-2.48
32 S 0.1613 0.1613 0.7961  5 Cr 2.46-2.51
33 S 0.9620 0.9620 0.5957  5 Cr 2.45-2.51
34 S 0.7622 0.7622 0.3958  5 Cr 2.45-2.51
35 S 0.5625 0.5625 0.1959  5 Cr 2.45-2.51

Results
Space-group type   No. 12
Size of the total moment   44.86 μB/f.u.



[12]
Computed, not measured: a geometry-optimized V2CrS4 structure at the GGA-PBE level of DFT.

Cell: 6.4431 6.4431 5.8493 Å, 65.45 65.45 29.49°
Last column: nearest neighbours and their distance in Å.
Sites, in units of the cell vectors:
1 V 0.2582 0.2582 0.6829  6 S 2.30-2.56
2 V 0.7418 0.7418 0.3171  6 S 2.30-2.56
3 Cr 0.0000 0.0000 0.0000  6 S 2.39-2.43
4 S 0.3610 0.3610 0.9798  2 Cr 2.43, 3 V 2.50-2.56
5 S 0.6390 0.6390 0.0202  2 Cr 2.43, 3 V 2.50-2.56
6 S 0.1091 0.1091 0.5494  3 V 2.30-2.31, 1 Cr 2.39
7 S 0.8909 0.8909 0.4506  3 V 2.30-2.31, 1 Cr 2.39

Results
Space-group type   No. 12



| no. | final energy (eV/atom) | formation enthalpy at 0 K (eV per atom) |
| --- | --- | --- |
| 1 | -7.297 | -1.7034 |
| 2 | -6.448 | -0.9496 |
| 3 | -6.666 | -1.0140 |
| 4 | -6.654 | -1.0428 |
| 5 | -6.668 | -1.1582 |
| 6 | -6.609 | -1.8748 |
| 7 | -6.465 | -2.0492 |
| 8 | -7.196 | -1.0643 |
| 9 | -7.188 | -1.0564 |
| 10 | -7.341 | -0.9763 |
| 11 | -7.165 | -0.9676 |
| 12 | -7.237 | -1.1859 |